A plane-wave DFT calculation with GGA-PBE was carried out for a relaxed structure of Lu4MgTe10O26.

Cell and atoms, written as extended XYZ:
```
41
Lattice="6.884 0.000 0.000 2.097 8.392 0.000 0.311 -0.025 11.203" Properties=species:S:1:pos:R:3 pbc="T T T"
Lu 0.000 0.000 0.000
Lu 1.190 3.863 5.410
Lu 3.425 1.320 0.536
Lu 4.546 2.126 4.719
Mg 4.323 6.225 0.215
Te 1.166 0.676 3.828
Te 2.553 4.405 9.982
Te 2.309 1.065 8.137
Te 3.326 4.973 2.683
Te 4.639 5.261 6.039
Te 6.528 6.704 9.494
Te 6.758 7.058 2.780
Te 5.990 2.754 8.333
Te 7.985 7.736 6.505
Te 6.836 3.165 1.482
O 0.710 0.579 9.017
O 1.604 4.540 3.342
O 2.783 8.311 5.639
O 2.708 6.215 10.597
O 1.422 1.953 1.552
O 2.301 1.885 4.746
O 4.158 8.158 0.221
O 3.358 3.880 5.875
O 3.119 2.000 9.588
O 4.080 5.981 4.159
O 3.544 3.971 0.077
O 4.189 3.314 2.888
O 5.493 7.767 8.145
O 3.869 0.397 2.517
O 5.196 4.500 7.994
O 5.914 6.018 1.400
O 5.199 1.816 6.895
O 6.840 8.304 5.112
O 5.905 4.115 5.226
O 7.163 8.223 10.518
O 5.750 1.897 0.581
O 6.634 1.966 3.844
O 8.102 5.910 6.050
O 7.765 3.901 10.880
O 8.456 7.520 2.003
O 7.686 3.080 7.500
```

Results
- calculated formation energy (eV/atom) = -2.166
- energy with MP2020 corrections (eV/atom) = -6.5504
- total DFT energy (no corrections) (eV per atom) = -6.11
- magnetic moment (μB/atom) = 0.0000
- space-group type = P1, No. 1